[1]
First-principles (GGA-PBE) data for an optimized crystal structure of K2HgSbF6, as listed in Materials Project.

The structure in CIF format:
```
data_K2HgSbF6
_chemical_formula_sum 'K2 Hg1 Sb1 F6'
_space_group_name_H-M_alt 'P 1'
_space_group_IT_number 1
_space_group_name_Hall 'P 1'
_cell_length_a 6.809
_cell_length_b 6.809
_cell_length_c 6.809
_cell_angle_alpha 60.00
_cell_angle_beta 60.00
_cell_angle_gamma 60.00
loop_
_atom_site_label
_atom_site_type_symbol
_atom_site_fract_x
_atom_site_fract_y
_atom_site_fract_z
K1 K 0.250 0.250 0.250
K2 K 0.750 0.750 0.750
Hg1 Hg 0.000 0.000 0.000
Sb1 Sb 0.500 0.500 0.500
F1 F 0.281 0.281 0.719
F2 F 0.281 0.719 0.281
F3 F 0.281 0.719 0.719
F4 F 0.719 0.281 0.281
F5 F 0.719 0.281 0.719
F6 F 0.719 0.719 0.281
```

Raw total energy (eV per atom): -3.98
Energy of formation (eV per atom): -2.439
SG: Fm-3m (225)
Size of the total moment (μB per formula unit): 0.0



[2]
First-principles (GGA-PBE) data for an optimized crystal structure of Sr2YCu3Pb2O8, as listed in Materials Project.

The structure in CIF format:
```
data_Sr2YCu3Pb2O8
_chemical_formula_sum 'Sr4 Y2 Cu6 Pb4 O16'
_space_group_name_H-M_alt 'P 1'
_space_group_IT_number 1
_space_group_name_Hall 'P 1'
_cell_length_a 5.368
_cell_length_b 5.412
_cell_length_c 15.678
_cell_angle_alpha 90.29
_cell_angle_beta 90.48
_cell_angle_gamma 90.14
loop_
_atom_site_label
_atom_site_type_symbol
_atom_site_fract_x
_atom_site_fract_y
_atom_site_fract_z
Sr1 Sr 0.002 0.001 0.221
Sr2 Sr 0.498 0.497 0.779
Sr3 Sr 0.502 0.503 0.221
Sr4 Sr 0.998 0.999 0.779
Y1 Y 0.000 0.000 0.000
Y2 Y 0.500 0.500 0.000
Cu1 Cu 0.000 0.000 0.500
Cu2 Cu 0.000 0.500 0.104
Cu3 Cu 0.000 0.500 0.896
Cu4 Cu 0.500 0.001 0.104
Cu5 Cu 0.500 0.500 0.500
Cu6 Cu 0.500 0.999 0.896
Pb1 Pb 0.005 0.488 0.610
Pb2 Pb 0.495 0.003 0.389
Pb3 Pb 0.505 0.997 0.611
Pb4 Pb 0.995 0.512 0.390
O1 O 0.002 0.494 0.250
O2 O 0.047 0.946 0.384
O3 O 0.249 0.249 0.907
O4 O 0.250 0.251 0.092
O5 O 0.250 0.750 0.093
O6 O 0.250 0.750 0.909
O7 O 0.469 0.429 0.615
O8 O 0.495 0.990 0.750
O9 O 0.505 0.010 0.250
O10 O 0.531 0.571 0.385
O11 O 0.750 0.250 0.091
O12 O 0.750 0.250 0.907
O13 O 0.750 0.749 0.908
O14 O 0.751 0.751 0.093
O15 O 0.953 0.054 0.616
O16 O 0.998 0.506 0.750
```

Raw total energy (eV per atom): -6.04
Energy of formation (eV per atom): -2.057
SG: P-1 (2)
Size of the total moment (μB per formula unit): 0.0
Offset from the most stable computed form (eV/atom): 0.0076



[3]
First-principles (GGA-PBE) data for an optimized crystal structure of Na10Ti4In4Si7S5O48, as listed in Materials Project.

The structure in CIF format:
```
data_Na10Ti4In4Si7S5O48
_chemical_formula_sum 'Na30 Ti12 In12 Si21 S15 O144'
_space_group_name_H-M_alt 'P 1'
_space_group_IT_number 1
_space_group_name_Hall 'P 1'
_cell_length_a 9.032
_cell_length_b 15.699
_cell_length_c 22.497
_cell_angle_alpha 88.73
_cell_angle_beta 89.91
_cell_angle_gamma 89.83
loop_
_atom_site_label
_atom_site_type_symbol
_atom_site_fract_x
_atom_site_fract_y
_atom_site_fract_z
Na1 Na 0.000 0.000 0.000
Na2 Na 0.000 0.333 0.335
Na3 Na 0.000 0.699 0.331
Na4 Na 0.133 0.499 0.503
Na5 Na 0.133 0.832 0.835
Na6 Na 0.134 0.196 0.829
Na7 Na 0.176 0.526 0.823
Na8 Na 0.179 0.191 0.492
Na9 Na 0.181 0.857 0.156
Na10 Na 0.309 0.012 0.079
Na11 Na 0.312 0.676 0.743
Na12 Na 0.324 0.350 0.416
Na13 Na 0.325 0.010 0.583
Na14 Na 0.327 0.345 0.913
Na15 Na 0.327 0.666 0.247
Na16 Na 0.458 0.192 0.988
Na17 Na 0.498 0.196 0.331
Na18 Na 0.499 0.833 0.334
Na19 Na 0.500 0.499 0.000
Na20 Na 0.631 0.029 0.163
Na21 Na 0.632 0.666 0.167
Na22 Na 0.632 0.999 0.502
Na23 Na 0.633 0.695 0.831
Na24 Na 0.678 0.692 0.492
Na25 Na 0.795 0.175 0.748
Na26 Na 0.818 0.842 0.918
Na27 Na 0.819 0.510 0.076
Na28 Na 0.824 0.850 0.413
Na29 Na 0.826 0.510 0.583
Na30 Na 0.839 0.172 0.247
Ti1 Ti 0.293 0.023 0.932
Ti2 Ti 0.296 0.686 0.598
Ti3 Ti 0.310 0.361 0.268
Ti4 Ti 0.333 0.359 0.768
Ti5 Ti 0.337 0.689 0.097
Ti6 Ti 0.339 0.024 0.432
Ti7 Ti 0.794 0.526 0.933
Ti8 Ti 0.794 0.860 0.265
Ti9 Ti 0.797 0.187 0.598
Ti10 Ti 0.821 0.864 0.767
Ti11 Ti 0.837 0.189 0.095
Ti12 Ti 0.840 0.523 0.433
In1 In 0.308 0.023 0.227
In2 In 0.310 0.351 0.564
In3 In 0.315 0.686 0.897
In4 In 0.320 0.352 0.061
In5 In 0.320 0.683 0.395
In6 In 0.327 0.026 0.726
In7 In 0.808 0.520 0.229
In8 In 0.811 0.188 0.892
In9 In 0.811 0.851 0.563
In10 In 0.819 0.849 0.060
In11 In 0.820 0.183 0.395
In12 In 0.826 0.524 0.727
Si1 Si 0.022 0.688 0.493
Si2 Si 0.023 0.020 0.826
Si3 Si 0.111 0.520 0.327
Si4 Si 0.112 0.188 0.992
Si5 Si 0.171 0.167 0.328
Si6 Si 0.171 0.500 0.660
Si7 Si 0.175 0.834 0.993
Si8 Si 0.454 0.832 0.495
Si9 Si 0.462 0.500 0.159
Si10 Si 0.464 0.167 0.828
Si11 Si 0.521 0.852 0.161
Si12 Si 0.522 0.188 0.493
Si13 Si 0.525 0.518 0.827
Si14 Si 0.614 0.020 0.326
Si15 Si 0.615 0.688 0.992
Si16 Si 0.670 0.002 0.659
Si17 Si 0.671 0.667 0.327
Si18 Si 0.678 0.333 0.995
Si19 Si 0.954 0.332 0.494
Si20 Si 0.959 0.001 0.160
Si21 Si 0.962 0.667 0.829
S1 S 0.023 0.349 0.164
S2 S 0.110 0.849 0.663
S3 S 0.159 0.204 0.662
S4 S 0.162 0.539 0.996
S5 S 0.164 0.874 0.329
S6 S 0.468 0.539 0.497
S7 S 0.469 0.874 0.827
S8 S 0.471 0.207 0.163
S9 S 0.610 0.350 0.662
S10 S 0.661 0.704 0.663
S11 S 0.663 0.374 0.329
S12 S 0.666 0.041 0.997
S13 S 0.968 0.038 0.498
S14 S 0.968 0.374 0.828
S15 S 0.970 0.704 0.164
O1 O 0.000 0.532 0.992
O2 O 0.001 0.864 0.324
O3 O 0.006 0.502 0.388
O4 O 0.007 0.531 0.270
O5 O 0.015 0.838 0.718
O6 O 0.020 0.861 0.609
O7 O 0.022 0.198 0.931
O8 O 0.109 0.698 0.431
O9 O 0.113 0.361 0.110
O10 O 0.117 0.339 0.218
O11 O 0.128 0.001 0.887
O12 O 0.128 0.028 0.769
O13 O 0.132 0.036 0.492
O14 O 0.133 0.700 0.158
O15 O 0.134 0.349 0.499
O16 O 0.136 0.008 0.166
O17 O 0.136 0.369 0.823
O18 O 0.136 0.669 0.550
O19 O 0.139 0.684 0.835
O20 O 0.191 0.112 0.271
O21 O 0.194 0.783 0.932
O22 O 0.200 0.769 0.659
O23 O 0.201 0.927 0.380
O24 O 0.202 0.255 0.714
O25 O 0.203 0.452 0.599
O26 O 0.203 0.594 0.046
O27 O 0.208 0.429 0.321
O28 O 0.209 0.096 0.990
O29 O 0.209 0.923 0.667
O30 O 0.211 0.604 0.332
O31 O 0.221 0.116 0.664
O32 O 0.223 0.240 0.605
O33 O 0.228 0.264 0.001
O34 O 0.228 0.571 0.939
O35 O 0.228 0.908 0.272
O36 O 0.230 0.452 0.002
O37 O 0.231 0.787 0.333
O38 O 0.245 0.779 0.052
O39 O 0.248 0.445 0.718
O40 O 0.249 0.117 0.388
O41 O 0.255 0.596 0.654
O42 O 0.261 0.261 0.321
O43 O 0.261 0.929 0.988
O44 O 0.368 0.260 0.819
O45 O 0.375 0.928 0.487
O46 O 0.380 0.117 0.888
O47 O 0.382 0.595 0.155
O48 O 0.383 0.775 0.551
O49 O 0.388 0.442 0.217
O50 O 0.397 0.571 0.442
O51 O 0.402 0.910 0.773
O52 O 0.405 0.265 0.502
O53 O 0.408 0.451 0.503
O54 O 0.408 0.786 0.832
O55 O 0.410 0.243 0.107
O56 O 0.410 0.933 0.167
O57 O 0.411 0.118 0.164
O58 O 0.411 0.598 0.832
O59 O 0.420 0.430 0.821
O60 O 0.422 0.763 0.155
O61 O 0.424 0.096 0.490
O62 O 0.430 0.256 0.215
O63 O 0.435 0.594 0.548
O64 O 0.436 0.448 0.099
O65 O 0.439 0.925 0.880
O66 O 0.441 0.113 0.770
O67 O 0.447 0.776 0.435
O68 O 0.492 0.010 0.663
O69 O 0.496 0.687 0.332
O70 O 0.497 0.701 0.659
O71 O 0.498 0.364 0.323
O72 O 0.499 0.350 0.000
O73 O 0.501 0.672 0.051
O74 O 0.502 0.005 0.386
O75 O 0.503 0.037 0.992
O76 O 0.511 0.338 0.716
O77 O 0.518 0.033 0.266
O78 O 0.523 0.361 0.608
O79 O 0.525 0.695 0.931
O80 O 0.609 0.199 0.431
O81 O 0.626 0.505 0.889
O82 O 0.626 0.835 0.223
O83 O 0.628 0.536 0.771
O84 O 0.628 0.872 0.107
O85 O 0.632 0.536 0.491
O86 O 0.634 0.849 0.500
O87 O 0.635 0.864 0.821
O88 O 0.636 0.200 0.159
O89 O 0.637 0.169 0.550
O90 O 0.637 0.185 0.833
O91 O 0.641 0.516 0.164
O92 O 0.684 0.268 0.941
O93 O 0.690 0.617 0.266
O94 O 0.694 0.426 0.380
O95 O 0.698 0.093 0.051
O96 O 0.699 0.269 0.659
O97 O 0.703 0.755 0.715
O98 O 0.703 0.953 0.598
O99 O 0.707 0.423 0.668
O100 O 0.707 0.594 0.991
O101 O 0.707 0.929 0.324
O102 O 0.713 0.105 0.332
O103 O 0.722 0.768 0.999
O104 O 0.723 0.741 0.606
O105 O 0.724 0.617 0.665
O106 O 0.726 0.286 0.333
O107 O 0.729 0.408 0.273
O108 O 0.732 0.955 0.001
O109 O 0.736 0.078 0.943
O110 O 0.748 0.944 0.716
O111 O 0.749 0.612 0.385
O112 O 0.751 0.277 0.054
O113 O 0.754 0.097 0.654
O114 O 0.759 0.427 0.989
O115 O 0.764 0.760 0.324
O116 O 0.869 0.093 0.155
O117 O 0.874 0.428 0.488
O118 O 0.874 0.759 0.820
O119 O 0.876 0.944 0.216
O120 O 0.878 0.614 0.885
O121 O 0.883 0.275 0.551
O122 O 0.898 0.071 0.442
O123 O 0.900 0.742 0.111
O124 O 0.904 0.617 0.167
O125 O 0.905 0.409 0.772
O126 O 0.906 0.765 0.502
O127 O 0.908 0.951 0.504
O128 O 0.914 0.285 0.832
O129 O 0.923 0.104 0.832
O130 O 0.923 0.597 0.489
O131 O 0.924 0.423 0.168
O132 O 0.925 0.929 0.820
O133 O 0.934 0.268 0.160
O134 O 0.935 0.094 0.548
O135 O 0.937 0.427 0.880
O136 O 0.937 0.755 0.218
O137 O 0.941 0.946 0.100
O138 O 0.946 0.277 0.435
O139 O 0.960 0.604 0.773
O140 O 0.992 0.510 0.664
O141 O 0.996 0.190 0.333
O142 O 0.996 0.201 0.658
O143 O 0.997 0.170 0.050
O144 O 0.999 0.855 0.999
```

Raw total energy (eV per atom): -6.64
Energy of formation (eV per atom): -2.549
SG: P1 (1)
Size of the total moment (μB per formula unit): 0.0



[4]
First-principles (GGA-PBE) data for an optimized crystal structure of Gd6Zn23, as listed in Materials Project.

The structure in CIF format:
```
data_Gd6Zn23
_chemical_formula_sum 'Gd6 Zn23'
_space_group_name_H-M_alt 'P 1'
_space_group_IT_number 1
_space_group_name_Hall 'P 1'
_cell_length_a 9.130
_cell_length_b 9.130
_cell_length_c 9.130
_cell_angle_alpha 60.00
_cell_angle_beta 60.00
_cell_angle_gamma 60.00
loop_
_atom_site_label
_atom_site_type_symbol
_atom_site_fract_x
_atom_site_fract_y
_atom_site_fract_z
Gd1 Gd 0.208 0.208 0.792
Gd2 Gd 0.208 0.792 0.208
Gd3 Gd 0.208 0.792 0.792
Gd4 Gd 0.792 0.208 0.208
Gd5 Gd 0.792 0.208 0.792
Gd6 Gd 0.792 0.792 0.208
Zn1 Zn 0.000 0.000 0.500
Zn2 Zn 0.000 0.500 0.000
Zn3 Zn 0.000 0.500 0.500
Zn4 Zn 0.131 0.623 0.623
Zn5 Zn 0.172 0.172 0.172
Zn6 Zn 0.172 0.172 0.484
Zn7 Zn 0.172 0.484 0.172
Zn8 Zn 0.377 0.377 0.377
Zn9 Zn 0.377 0.377 0.869
Zn10 Zn 0.377 0.869 0.377
Zn11 Zn 0.484 0.172 0.172
Zn12 Zn 0.500 0.000 0.000
Zn13 Zn 0.500 0.000 0.500
Zn14 Zn 0.500 0.500 0.000
Zn15 Zn 0.500 0.500 0.500
Zn16 Zn 0.516 0.828 0.828
Zn17 Zn 0.623 0.131 0.623
Zn18 Zn 0.623 0.623 0.131
Zn19 Zn 0.623 0.623 0.623
Zn20 Zn 0.828 0.516 0.828
Zn21 Zn 0.828 0.828 0.516
Zn22 Zn 0.828 0.828 0.828
Zn23 Zn 0.869 0.377 0.377
```

Raw total energy (eV per atom): -4.22
Energy of formation (eV per atom): -0.309
SG: Fm-3m (225)



[5]
First-principles (GGA-PBE) data for an optimized crystal structure of CaBr, as listed in Materials Project.

The structure in CIF format:
```
data_CaBr
_chemical_formula_sum 'Ca1 Br1'
_space_group_name_H-M_alt 'P 1'
_space_group_IT_number 1
_space_group_name_Hall 'P 1'
_cell_length_a 3.917
_cell_length_b 3.917
_cell_length_c 4.341
_cell_angle_alpha 90.00
_cell_angle_beta 90.00
_cell_angle_gamma 120.00
loop_
_atom_site_label
_atom_site_type_symbol
_atom_site_fract_x
_atom_site_fract_y
_atom_site_fract_z
Ca1 Ca 0.000 0.000 0.000
Br1 Br 0.333 0.667 0.500
```

Raw total energy (eV per atom): -3.11
Energy of formation (eV per atom): -1.552
SG: P-6m2 (187)
Size of the total moment (μB per formula unit): 0.9



| no. | theoretical density (g cm⁻³) | volume (Å³ per cell) |
| --- | --- | --- |
| 1 | 3.8 | 223.2 |
| 2 | 7.3 | 455.5 |
| 3 | 3.1 | 3189.3 |
| 4 | 7.6 | 538.2 |
| 5 | 3.5 | 57.7 |